Density functional theory data (GGA+U) for a relaxed structure of VH6C2S2O7.

Cell lengths 8.934, 9.403, 11.611 Å; angles 66.27, 90.00, 90.00 degrees
Positions (direct):
V 0.648 0.330 0.679
V 0.148 0.170 0.321
V 0.352 0.670 0.321
V 0.852 0.830 0.679
H 0.098 0.276 0.611
H 0.598 0.224 0.389
H 0.902 0.724 0.389
H 0.402 0.776 0.611
H 0.213 0.104 0.689
H 0.713 0.396 0.311
H 0.787 0.896 0.311
H 0.287 0.604 0.689
H 0.236 0.272 0.726
H 0.736 0.228 0.274
H 0.764 0.728 0.274
H 0.264 0.772 0.726
H 0.842 0.373 0.053
H 0.342 0.127 0.947
H 0.158 0.627 0.947
H 0.658 0.873 0.053
H 0.685 0.333 0.971
H 0.185 0.167 0.029
H 0.315 0.667 0.029
H 0.815 0.833 0.971
H 0.850 0.213 0.006
H 0.350 0.287 0.994
H 0.150 0.787 0.994
H 0.650 0.713 0.006
C 0.207 0.231 0.653
C 0.707 0.269 0.347
C 0.793 0.769 0.347
C 0.293 0.731 0.653
C 0.807 0.330 0.982
C 0.307 0.170 0.018
C 0.193 0.670 0.018
C 0.693 0.830 0.982
S 0.341 0.307 0.532
S 0.841 0.193 0.468
S 0.659 0.693 0.468
S 0.159 0.807 0.532
S 0.889 0.451 0.837
S 0.389 0.049 0.163
S 0.111 0.549 0.163
S 0.611 0.951 0.837
O 0.531 0.394 0.753
O 0.031 0.106 0.247
O 0.469 0.606 0.247
O 0.969 0.894 0.753
O 0.311 0.251 0.434
O 0.811 0.249 0.566
O 0.689 0.749 0.566
O 0.189 0.751 0.434
O 0.327 0.478 0.489
O 0.827 0.022 0.511
O 0.673 0.522 0.511
O 0.173 0.978 0.489
O 0.491 0.250 0.588
O 0.991 0.250 0.412
O 0.509 0.750 0.412
O 0.009 0.750 0.588
O 0.050 0.447 0.851
O 0.550 0.053 0.149
O 0.950 0.553 0.149
O 0.450 0.947 0.851
O 0.820 0.607 0.808
O 0.320 0.893 0.192
O 0.180 0.393 0.192
O 0.680 0.107 0.808
O 0.843 0.390 0.741
O 0.343 0.110 0.259
O 0.157 0.610 0.259
O 0.657 0.890 0.741

Summary:
total moment	0.0556	μB/atom
calculated volume	12.402	A^3/atom
crystal system	monoclinic
energy of formation	-1178	meV/atom
space-group type	P2_1/c